Record 1
## HfCuGe (PBE-GGA)

Data for an optimized crystal structure of HfCuGe.

Values from the calculation:
Total moment in μB/f.u.: 0.0
Space-group type: Pnma (62)
DFT formation energy in kJ/mol of atoms: -48

a b c (Å): 6.495 3.993 7.463
angles (deg): 90.00 90.00 90.00
Atoms (fractional coordinates):
1 Hf 0.016 0.250 0.193
2 Hf 0.484 0.750 0.693
3 Hf 0.516 0.250 0.307
4 Hf 0.984 0.750 0.807
5 Cu 0.164 0.250 0.571
6 Cu 0.336 0.750 0.071
7 Cu 0.664 0.250 0.929
8 Cu 0.836 0.750 0.429
9 Ge 0.229 0.750 0.393
10 Ge 0.271 0.250 0.893
11 Ge 0.729 0.750 0.107
12 Ge 0.771 0.250 0.607

Record 2
## Cu2HgGeS4 (PBE-GGA)

Data for an optimized crystal structure of Cu2HgGeS4.

Values from the calculation:
Piezoelectric modulus e_max in C/m2: 0.4
Total moment in μB/f.u.: 0.0
Space-group type: Pmn2_1 (31)
Energy relative to the lowest polymorph listed for this composition in eV/atom: 0.004
DFT formation energy in kJ/mol of atoms: -51

a b c (Å): 7.799 6.584 6.365
angles (deg): 90.00 90.00 90.00
Atoms (fractional coordinates):
1 Cu 0.249 0.167 0.000
2 Cu 0.251 0.833 0.500
3 Cu 0.749 0.833 0.500
4 Cu 0.751 0.167 0.000
5 Hg 0.000 0.650 0.004
6 Hg 0.500 0.350 0.504
7 Ge 0.000 0.326 0.496
8 Ge 0.500 0.674 0.996
9 S 0.000 0.286 0.852
10 S 0.000 0.663 0.409
11 S 0.230 0.158 0.362
12 S 0.270 0.842 0.862
13 S 0.500 0.337 0.909
14 S 0.500 0.714 0.352
15 S 0.730 0.842 0.862
16 S 0.770 0.158 0.362

Record 3
## Cu2HgGeS4 (PBE-GGA)

Data for an optimized crystal structure of Cu2HgGeS4.

Values from the calculation:
Piezoelectric modulus e_max in C/m2: 0.4
Space-group type: I-42m (121)
Energy relative to the lowest polymorph listed for this composition in eV/atom: 0.000
DFT formation energy in kJ/mol of atoms: -52

a b c (Å): 6.603 6.603 6.603
angles (deg): 130.21 130.21 73.07
Atoms (fractional coordinates):
1 Cu 0.250 0.750 0.500
2 Cu 0.750 0.250 0.500
3 Hg 0.000 0.000 0.000
4 Ge 0.500 0.500 0.000
5 S 0.139 0.139 0.549
6 S 0.410 0.861 0.000
7 S 0.590 0.590 0.451
8 S 0.861 0.410 0.000